A geometry-optimized Cs2Pt3Se4 structure. Source: Materials Project, functional GGA-PBE.

Calculated values
ΔH_f (0 K) = -0.92 eV per atom
Space-group type = Fmmm, No. 69
ρ = 6.81 g/cm3
Energy with MP2020 corrections = -4.6928 eV per atom

a = 9.280 Å, b = 8.019 Å, c = 6.695 Å
α = 77.62°, β = 57.57°, γ = 44.80°
Fractional positions:
Cs 0.145 0.145 0.855
Cs 0.855 0.855 0.145
Pt 0.000 0.000 0.500
Pt 0.500 0.500 0.000
Pt 0.500 0.500 0.500
Se 0.224 0.560 0.440
Se 0.440 0.776 0.224
Se 0.560 0.224 0.776
Se 0.776 0.440 0.560